Entry from Materials Project: a relaxed KAs2Rh2 crystal (meta-GGA r2SCAN).

Computed properties:
ΔH_f (0 K): -16.37 kcal/mol of atoms
E: -17.4511 eV/atom
Total magnetization: 0.00 μB/f.u.

abc: 4.0057 4.0057 13.4020
angles: 90.00 90.00 90.00
Closest atoms and distances in Å follow each position.
Space group I4/mmm (No. 139)
Inequivalent atoms, fractional coordinates:
K 0.0000 0.0000 0.0000  8 As 3.46
As 0.0000 0.0000 0.3523  4 Rh 2.43
Rh 0.0000 0.5000 0.2500  4 As 2.43